No. 1
# RbSmO2

Crystalline RbSmO2 at its relaxed geometry (PBE-GGA, Materials Project).

crystal system: trigonal
DFT total energy: -26.03 eV per cell
E_form: -2.9527 eV/atom
E (MP2020): -6.851 eV/atom

Cell lengths 6.9215, 6.9215, 6.9215 Å; angles 30.27, 30.27, 30.27 degrees
Last column: nearest neighbours and their distance in Å.
Atoms (fractional coordinates):
Rb 0.0000 0.0000 0.0000  6 O 2.97
Sm 0.5000 0.5000 0.5000  6 O 2.40
O 0.2263 0.2263 0.2263  3 Sm 2.40
O 0.7737 0.7737 0.7737  3 Sm 2.40

No. 2
# Mg14SnMo

Crystalline Mg14SnMo at its relaxed geometry (PBE-GGA, Materials Project).

crystal system: hexagonal
polymorph energy (0 for the lowest one): 0.000 eV per atom
DFT total energy: -36.26 eV per cell
E_form: 0.0625 eV/atom

Cell lengths 6.2574, 6.2574, 10.2117 Å; angles 90.00, 90.00, 120.00 degrees
Last column: nearest neighbours and their distance in Å.
Atoms (fractional coordinates):
Mg 0.0000 0.0000 0.2483  12 Mg 3.11-3.14
Mg 0.0000 0.0000 0.7517  12 Mg 3.11-3.14
Mg 0.0102 0.5051 0.2408  1 Mo 3.02, 10 Mg 3.03-3.22, 1 Sn 3.17
Mg 0.0102 0.5051 0.7592  1 Mo 3.02, 10 Mg 3.03-3.22, 1 Sn 3.17
Mg 0.3329 0.1665 0.5000  10 Mg 3.12-3.22, 2 Sn 3.13
Mg 0.3332 0.1666 0.0000  10 Mg 3.07-3.13, 2 Mo 3.13
Mg 0.4949 0.5051 0.2408  1 Mo 3.02, 10 Mg 3.03-3.22, 1 Sn 3.17
Mg 0.4949 0.5051 0.7592  1 Mo 3.02, 10 Mg 3.03-3.22, 1 Sn 3.17
Mg 0.4949 0.9898 0.2408  1 Mo 3.02, 10 Mg 3.03-3.22, 1 Sn 3.17
Mg 0.4949 0.9898 0.7592  1 Mo 3.02, 10 Mg 3.03-3.22, 1 Sn 3.17
Mg 0.8334 0.1666 0.0000  10 Mg 3.07-3.13, 2 Mo 3.13
Mg 0.8334 0.6668 0.0000  10 Mg 3.07-3.13, 2 Mo 3.13
Mg 0.8335 0.1665 0.5000  10 Mg 3.12-3.22, 2 Sn 3.13
Mg 0.8335 0.6671 0.5000  10 Mg 3.12-3.22, 2 Sn 3.13
Sn 0.3333 0.6667 0.5000  12 Mg 3.13-3.17
Mo 0.3333 0.6667 0.0000  12 Mg 3.02-3.13

No. 3
# Li7Nb12O24

Crystalline Li7Nb12O24 at its relaxed geometry (PBE-GGA, Materials Project).

crystal system: triclinic
DFT total energy: -353.65 eV per cell
E_form: -2.7164 eV/atom
E (MP2020): -8.608 eV/atom

Cell lengths 5.1469, 8.9255, 11.0205 Å; angles 82.24, 76.61, 90.00 degrees
Last column: nearest neighbours and their distance in Å.
Atoms (fractional coordinates):
Li 0.0000 0.0000 0.0000  6 O 2.17-2.18
Li 0.0003 0.3336 0.9995  6 O 2.17-2.20
Li 0.9997 0.6664 0.0005  6 O 2.17-2.20
Li 0.2532 0.0834 0.4999  6 O 2.17-2.20
Li 0.2532 0.4167 0.4998  6 O 2.17-2.20
Li 0.7468 0.5833 0.5002  6 O 2.17-2.20
Li 0.7468 0.9166 0.5001  6 O 2.17-2.20
Nb 0.0399 0.1282 0.2526  6 O 2.09-2.14
Nb 0.0398 0.4542 0.2526  6 O 2.09-2.14
Nb 0.0486 0.7914 0.2524  6 O 2.09-2.14
Nb 0.4520 0.7078 0.7530  6 O 2.13-2.16
Nb 0.4619 0.0436 0.7535  6 O 2.11-2.16
Nb 0.4621 0.3719 0.7535  6 O 2.11-2.16
Nb 0.5379 0.6281 0.2465  6 O 2.11-2.16
Nb 0.5381 0.9564 0.2465  6 O 2.11-2.16
Nb 0.5480 0.2922 0.2470  6 O 2.13-2.16
Nb 0.9514 0.2086 0.7476  6 O 2.09-2.14
Nb 0.9602 0.5458 0.7474  6 O 2.09-2.14
Nb 0.9601 0.8718 0.7474  6 O 2.09-2.14
O 0.1443 0.5998 0.3712  3 Nb 2.11-2.16, 2 Li 2.18-2.20
O 0.1444 0.9431 0.3713  3 Nb 2.12-2.16, 2 Li 2.18-2.20
O 0.1613 0.2715 0.3714  3 Nb 2.13-2.14, 2 Li 2.17
O 0.2196 0.1884 0.8702  3 Nb 2.14, 2 Li 2.18
O 0.2225 0.5200 0.8706  3 Nb 2.12-2.16, 2 Li 2.17-2.19
O 0.2225 0.8564 0.8706  3 Nb 2.12-2.16, 2 Li 2.17-2.20
O 0.2525 0.6429 0.1352  3 Nb 2.09-2.11, 1 Li 2.18
O 0.2525 0.9787 0.1352  3 Nb 2.09-2.11, 1 Li 2.18
O 0.2580 0.3109 0.1348  3 Nb 2.09-2.14, 1 Li 2.20
O 0.3432 0.2281 0.6320  3 Nb 2.11-2.16, 2 Li 2.20
O 0.3580 0.5554 0.6318  3 Nb 2.12-2.16, 2 Li 2.17-2.19
O 0.3580 0.9007 0.6318  3 Nb 2.12-2.16, 2 Li 2.17-2.19
O 0.6420 0.0993 0.3682  3 Nb 2.12-2.16, 2 Li 2.17-2.19
O 0.6420 0.4446 0.3682  3 Nb 2.12-2.16, 2 Li 2.17-2.19
O 0.6568 0.7719 0.3680  3 Nb 2.11-2.16, 2 Li 2.20
O 0.7420 0.6891 0.8652  3 Nb 2.09-2.14, 1 Li 2.20
O 0.7475 0.0213 0.8648  3 Nb 2.09-2.11, 1 Li 2.18
O 0.7475 0.3571 0.8648  3 Nb 2.09-2.11, 1 Li 2.18
O 0.7775 0.1436 0.1294  3 Nb 2.12-2.16, 2 Li 2.17-2.20
O 0.7775 0.4800 0.1294  3 Nb 2.12-2.16, 2 Li 2.17-2.19
O 0.7804 0.8116 0.1298  3 Nb 2.14, 2 Li 2.18
O 0.8387 0.7285 0.6286  3 Nb 2.13-2.14, 2 Li 2.17
O 0.8556 0.0569 0.6287  3 Nb 2.12-2.16, 2 Li 2.18-2.20
O 0.8557 0.4002 0.6288  3 Nb 2.11-2.16, 2 Li 2.18-2.20

No. 4
# Ba17Dy16Zn8Pt4O57

Crystalline Ba17Dy16Zn8Pt4O57 at its relaxed geometry (PBE-GGA, Materials Project).

crystal system: tetragonal
DFT total energy: -688.46 eV per cell
E_form: -2.9891 eV/atom
E (MP2020): -7.134 eV/atom

Cell lengths 16.6141, 16.6141, 16.6141 Å; angles 91.73, 91.73, 159.99 degrees
Last column: nearest neighbours and their distance in Å.
Atoms (fractional coordinates):
Ba 0.0000 0.0000 0.0000  10 O 2.89-2.95
Ba 0.0676 0.4417 0.5093  6 O 2.75-2.89
Ba 0.1119 0.2766 0.3885  8 O 2.84-3.00
Ba 0.1892 0.7323 0.9215  6 O 2.62-2.91
Ba 0.2677 0.1892 0.4569  6 O 2.62-2.91
Ba 0.2766 0.8881 0.1647  8 O 2.84-3.00
Ba 0.3417 0.6496 0.9913  6 O 2.74-2.93
Ba 0.3504 0.3417 0.6922  6 O 2.74-2.93
Ba 0.4417 0.9324 0.3741  6 O 2.75-2.89
Ba 0.5583 0.0676 0.6259  6 O 2.75-2.89
Ba 0.6496 0.6583 0.3078  6 O 2.74-2.93
Ba 0.6583 0.3504 0.0087  6 O 2.74-2.93
Ba 0.7234 0.1119 0.8353  8 O 2.84-3.00
Ba 0.7323 0.8108 0.5431  6 O 2.62-2.91
Ba 0.8108 0.2677 0.0785  6 O 2.62-2.91
Ba 0.8881 0.7234 0.6115  8 O 2.84-3.00
Ba 0.9324 0.5583 0.4907  6 O 2.75-2.89
Dy 0.0498 0.6738 0.7235  6 O 2.24-2.37
Dy 0.0523 0.8280 0.8803  7 O 2.30-2.51
Dy 0.1720 0.0523 0.2244  7 O 2.30-2.51
Dy 0.2504 0.5063 0.7567  7 O 2.29-2.41
Dy 0.3262 0.0498 0.3760  6 O 2.24-2.37
Dy 0.4003 0.5116 0.9120  7 O 2.30-2.44
Dy 0.4884 0.4003 0.8887  7 O 2.30-2.44
Dy 0.4937 0.2504 0.7441  7 O 2.29-2.41
Dy 0.5063 0.7496 0.2559  7 O 2.29-2.41
Dy 0.5116 0.5997 0.1113  7 O 2.30-2.44
Dy 0.5997 0.4884 0.0880  7 O 2.30-2.44
Dy 0.6738 0.9502 0.6240  6 O 2.24-2.37
Dy 0.7496 0.4937 0.2433  7 O 2.29-2.41
Dy 0.8280 0.9477 0.7756  7 O 2.30-2.51
Dy 0.9477 0.1720 0.1197  7 O 2.30-2.51
Dy 0.9502 0.3262 0.2765  6 O 2.24-2.37
Zn 0.0757 0.1336 0.2093  5 O 1.99-2.16
Zn 0.1336 0.9243 0.0578  5 O 1.99-2.16
Zn 0.2123 0.3791 0.5914  5 O 1.96-2.16
Zn 0.3791 0.7877 0.1668  5 O 1.96-2.16
Zn 0.6209 0.2123 0.8332  5 O 1.96-2.16
Zn 0.7877 0.6209 0.4086  5 O 1.96-2.16
Zn 0.8664 0.0757 0.9422  5 O 1.99-2.16
Zn 0.9243 0.8664 0.7907  5 O 1.99-2.16
Pt 0.1443 0.5829 0.7273  6 O 2.05-2.11
Pt 0.4171 0.1443 0.5614  6 O 2.05-2.11
Pt 0.5829 0.8557 0.4386  6 O 2.05-2.11
Pt 0.8557 0.4171 0.2727  6 O 2.05-2.11
O 0.0009 0.1769 0.6808  1 Zn 2.07, 1 Dy 2.30
O 0.0551 0.5646 0.6197  1 Pt 2.11
O 0.0728 0.2764 0.8517  1 Zn 2.06, 1 Dy 2.29
O 0.0748 0.7197 0.3108  1 Pt 2.05, 1 Dy 2.24
O 0.1114 0.8788 0.4795  1 Pt 2.05, 1 Zn 2.16
O 0.1212 0.6006 0.2325  1 Pt 2.05, 1 Zn 2.16
O 0.1577 0.1597 0.3173  1 Zn 1.99
O 0.1597 0.8423 0.0020  1 Zn 1.99
O 0.1610 0.1852 0.8449  1 Zn 2.16, 2 Dy 2.30-2.41
O 0.1769 0.4961 0.1760  1 Zn 2.07, 1 Dy 2.30
O 0.1852 0.3403 0.0242  1 Zn 2.16, 2 Dy 2.30-2.41
O 0.2211 0.0728 0.7964  1 Zn 2.06, 1 Dy 2.29
O 0.2311 0.6080 0.8391  1 Pt 2.09
O 0.2360 0.9252 0.6449  1 Pt 2.05, 1 Dy 2.24
O 0.2395 0.2990 0.5386  1 Zn 1.96
O 0.2764 0.4247 0.2036  1 Zn 2.06, 1 Dy 2.29
O 0.2803 0.5911 0.3551  1 Pt 2.05, 1 Dy 2.24
O 0.2990 0.7605 0.0595  1 Zn 1.96
O 0.3161 0.1610 0.9758  1 Zn 2.16, 2 Dy 2.30-2.41
O 0.3202 0.0009 0.8240  1 Zn 2.07, 1 Dy 2.30
O 0.3403 0.3161 0.1551  1 Zn 2.16, 2 Dy 2.30-2.41
O 0.3681 0.8886 0.7675  1 Pt 2.05, 1 Zn 2.16
O 0.3920 0.2311 0.6230  1 Pt 2.09
O 0.3994 0.6319 0.5205  1 Pt 2.05, 1 Zn 2.16
O 0.4089 0.7640 0.6892  1 Pt 2.05, 1 Dy 2.24
O 0.4247 0.2211 0.1483  1 Zn 2.06, 1 Dy 2.29
O 0.4354 0.0551 0.4906  1 Pt 2.11
O 0.4961 0.3202 0.3192  1 Zn 2.07, 1 Dy 2.30
O 0.5000 0.5000 0.0000  4 Dy 2.32
O 0.5039 0.6798 0.6808  1 Zn 2.07, 1 Dy 2.30
O 0.5646 0.9449 0.5094  1 Pt 2.11
O 0.5753 0.7789 0.8517  1 Zn 2.06, 1 Dy 2.29
O 0.5911 0.2360 0.3108  1 Pt 2.05, 1 Dy 2.24
O 0.6006 0.3681 0.4795  1 Pt 2.05, 1 Zn 2.16
O 0.6080 0.7689 0.3770  1 Pt 2.09
O 0.6319 0.1114 0.2325  1 Pt 2.05, 1 Zn 2.16
O 0.6597 0.6839 0.8449  1 Zn 2.16, 2 Dy 2.30-2.41
O 0.6798 0.9991 0.1760  1 Zn 2.07, 1 Dy 2.30
O 0.6839 0.8390 0.0242  1 Zn 2.16, 2 Dy 2.30-2.41
O 0.7010 0.2395 0.9405  1 Zn 1.96
O 0.7197 0.4089 0.6449  1 Pt 2.05, 1 Dy 2.24
O 0.7236 0.5753 0.7964  1 Zn 2.06, 1 Dy 2.29
O 0.7605 0.7010 0.4614  1 Zn 1.96
O 0.7640 0.0748 0.3551  1 Pt 2.05, 1 Dy 2.24
O 0.7689 0.3920 0.1609  1 Pt 2.09
O 0.7789 0.9272 0.2036  1 Zn 2.06, 1 Dy 2.29
O 0.8148 0.6597 0.9758  1 Zn 2.16, 2 Dy 2.30-2.41
O 0.8231 0.5039 0.8240  1 Zn 2.07, 1 Dy 2.30
O 0.8390 0.8148 0.1551  1 Zn 2.16, 2 Dy 2.30-2.41
O 0.8403 0.1577 0.9980  1 Zn 1.99
O 0.8423 0.8403 0.6827  1 Zn 1.99
O 0.8788 0.3994 0.7675  1 Pt 2.05, 1 Zn 2.16
O 0.8886 0.1212 0.5205  1 Pt 2.05, 1 Zn 2.16
O 0.9252 0.2803 0.6892  1 Pt 2.05, 1 Dy 2.24
O 0.9272 0.7236 0.1483  1 Zn 2.06, 1 Dy 2.29
O 0.9449 0.4354 0.3803  1 Pt 2.11
O 0.9991 0.8231 0.3192  1 Zn 2.07, 1 Dy 2.30

No. 5
# CaAl2Si2O10

Crystalline CaAl2Si2O10 at its relaxed geometry (PBE-GGA, Materials Project).

crystal system: monoclinic
polymorph energy (0 for the lowest one): 0.389 eV per atom
DFT total energy: -206.01 eV per cell
E_form: -2.3191 eV/atom
E (MP2020): -6.974 eV/atom

Cell lengths 4.7620, 13.9869, 5.1177 Å; angles 90.00, 103.18, 90.00 degrees
Last column: nearest neighbours and their distance in Å.
Atoms (fractional coordinates):
Ca 0.0896 0.2500 0.1841  4 O 2.24-2.38
Ca 0.9104 0.7500 0.8159  4 O 2.24-2.38
Al 0.0000 0.0000 0.0000  4 O 1.82-1.93
Al 0.0000 0.5000 0.0000  4 O 1.82-1.93
Al 0.5000 0.0000 0.5000  6 O 1.86-1.97
Al 0.5000 0.5000 0.5000  6 O 1.86-1.97
Si 0.3945 0.1572 0.7726  5 O 1.68-1.84
Si 0.3945 0.3428 0.7726  5 O 1.68-1.84
Si 0.6055 0.6572 0.2274  5 O 1.68-1.84
Si 0.6055 0.8428 0.2274  5 O 1.68-1.84
O 0.0822 0.0233 0.4207  1 O 1.41
O 0.0822 0.4767 0.4207  1 O 1.41
O 0.1567 0.1146 0.9417  1 Si 1.68, 1 Al 1.82
O 0.1569 0.2500 0.6317  2 Si 1.76
O 0.1567 0.3854 0.9417  1 Si 1.68, 1 Al 1.82
O 0.3851 0.5492 0.1301  1 Si 1.84, 2 Al 1.93-1.97
O 0.3851 0.9508 0.1301  1 Si 1.84, 2 Al 1.93-1.97
O 0.4041 0.7500 0.0484  2 Si 1.74
O 0.4800 0.1323 0.4744  1 Si 1.70, 1 Al 1.86
O 0.4800 0.3677 0.4744  1 Si 1.70, 1 Al 1.86
O 0.5200 0.6323 0.5256  1 Si 1.70, 1 Al 1.86
O 0.5200 0.8677 0.5256  1 Si 1.70, 1 Al 1.86
O 0.5959 0.2500 0.9516  2 Si 1.74
O 0.6149 0.0492 0.8699  1 Si 1.84, 2 Al 1.93-1.97
O 0.6149 0.4508 0.8699  1 Si 1.84, 2 Al 1.93-1.97
O 0.8433 0.6146 0.0583  1 Si 1.68, 1 Al 1.82
O 0.8431 0.7500 0.3683  2 Si 1.76
O 0.8433 0.8854 0.0583  1 Si 1.68, 1 Al 1.82
O 0.9178 0.5233 0.5793  1 O 1.41
O 0.9178 0.9767 0.5793  1 O 1.41

No. 6
# Zr6Ga2FeH10

Crystalline Zr6Ga2FeH10 at its relaxed geometry (PBE-GGA, Materials Project).

crystal system: hexagonal
DFT total energy: -216.14 eV per cell
E_form: -0.5326 eV/atom
E (MP2020): -5.782 eV/atom

Cell lengths 8.0643, 8.0643, 7.1656 Å; angles 90.00, 90.00, 120.00 degrees
Last column: nearest neighbours and their distance in Å.
Atoms (fractional coordinates):
Zr 0.0000 0.7404 0.0000  7 H 2.08-2.19
Zr 0.0000 0.7404 0.5000  7 H 2.08-2.19
Zr 0.0473 0.4259 0.2500  5 H 2.04-2.13
Zr 0.2596 0.2596 0.0000  7 H 2.08-2.19
Zr 0.2596 0.2596 0.5000  7 H 2.08-2.19
Zr 0.3786 0.9527 0.2500  5 H 2.04-2.13
Zr 0.4259 0.0473 0.7500  5 H 2.04-2.13
Zr 0.5741 0.6214 0.2500  5 H 2.04-2.13
Zr 0.6214 0.5741 0.7500  5 H 2.04-2.13
Zr 0.7404 0.0000 0.0000  7 H 2.08-2.19
Zr 0.7404 0.0000 0.5000  7 H 2.08-2.19
Zr 0.9527 0.3786 0.7500  5 H 2.04-2.13
Ga 0.3333 0.6667 0.5505  1 Ga 2.86, 6 H 2.90-2.94, 9 Zr 3.04-3.12
Ga 0.3333 0.6667 0.9495  1 Ga 2.86, 6 H 2.90-2.94, 9 Zr 3.04-3.12
Ga 0.6667 0.3333 0.0505  1 Ga 2.86, 6 H 2.90-2.94, 9 Zr 3.04-3.12
Ga 0.6667 0.3333 0.4495  1 Ga 2.86, 6 H 2.90-2.94, 9 Zr 3.04-3.12
Fe 0.0000 0.0000 0.2500  5 H 1.67-1.79
Fe 0.0000 0.0000 0.7500  5 H 1.67-1.79
H 0.0000 0.0000 0.0000  2 Fe 1.79
H 0.0000 0.0000 0.5000  2 Fe 1.79
H 0.0000 0.2819 0.0000  4 Zr 2.06-2.19, 3 H 2.14-2.27
H 0.0000 0.2819 0.5000  4 Zr 2.06-2.19, 3 H 2.14-2.27
H 0.1170 0.7089 0.2500  4 Zr 2.04-2.10, 1 H 2.16
H 0.1182 0.2387 0.7500  1 Fe 1.67
H 0.1205 0.8818 0.7500  1 Fe 1.67
H 0.2387 0.1182 0.2500  1 Fe 1.67
H 0.2819 0.0000 0.0000  4 Zr 2.06-2.19, 3 H 2.14-2.27
H 0.2819 0.0000 0.5000  4 Zr 2.06-2.19, 3 H 2.14-2.27
H 0.2911 0.4081 0.2500  4 Zr 2.04-2.10, 1 H 2.16
H 0.4081 0.2911 0.7500  4 Zr 2.04-2.10, 1 H 2.16
H 0.5919 0.8830 0.2500  4 Zr 2.04-2.10, 1 H 2.16
H 0.7089 0.1170 0.7500  4 Zr 2.04-2.10, 1 H 2.16
H 0.7181 0.7181 0.0000  4 Zr 2.06-2.19, 3 H 2.14-2.27
H 0.7181 0.7181 0.5000  4 Zr 2.06-2.19, 3 H 2.14-2.27
H 0.7613 0.8795 0.7500  1 Fe 1.67
H 0.8795 0.7613 0.2500  1 Fe 1.67
H 0.8818 0.1205 0.2500  1 Fe 1.67
H 0.8830 0.5919 0.7500  4 Zr 2.04-2.10, 1 H 2.16

No. 7
# Ce2Mn3Cu9P7

Crystalline Ce2Mn3Cu9P7 at its relaxed geometry (PBE-GGA, Materials Project).

crystal system: hexagonal
DFT total energy: -123.14 eV per cell
E_form: -0.4287 eV/atom

Cell lengths 9.4884, 9.4884, 3.8031 Å; angles 90.00, 90.00, 120.00 degrees
Last column: nearest neighbours and their distance in Å.
Atoms (fractional coordinates):
Ce 0.0000 0.0000 0.0000  6 P 2.94, 12 Cu 3.18-3.29
Ce 0.3333 0.6667 0.5000  6 P 2.92, 9 Cu 3.16-3.22
Mn 0.5399 0.4239 0.5000  5 P 2.43-2.69
Mn 0.5761 0.1160 0.5000  5 P 2.43-2.69
Mn 0.8840 0.4601 0.5000  5 P 2.43-2.69
Cu 0.0500 0.2908 0.5000  4 P 2.39-2.44, 2 Cu 2.66
Cu 0.0895 0.7070 0.0000  4 P 2.35-2.42, 1 Cu 2.57
Cu 0.2408 0.9500 0.5000  4 P 2.39-2.44, 2 Cu 2.66
Cu 0.2930 0.3825 0.0000  4 P 2.35-2.42, 1 Cu 2.57
Cu 0.3888 0.1722 0.0000  4 P 2.29-2.43
Cu 0.6175 0.9105 0.0000  4 P 2.35-2.42, 1 Cu 2.57
Cu 0.7092 0.7592 0.5000  4 P 2.39-2.44, 2 Cu 2.66
Cu 0.7834 0.6112 0.0000  4 P 2.29-2.43
Cu 0.8278 0.2166 0.0000  4 P 2.29-2.43
P 0.0828 0.4565 0.0000  5 Cu 2.35-2.42
P 0.2542 0.2140 0.5000  6 Cu 2.39-2.44, 1 Mn 2.43
P 0.3737 0.9172 0.0000  5 Cu 2.35-2.42
P 0.5435 0.6263 0.0000  5 Cu 2.35-2.42
P 0.6667 0.3333 0.0000  3 Cu 2.29
P 0.7860 0.0402 0.5000  6 Cu 2.39-2.44, 1 Mn 2.43
P 0.9598 0.7458 0.5000  6 Cu 2.39-2.44, 1 Mn 2.43

No. 8
# LiHfMg6

Crystalline LiHfMg6 at its relaxed geometry (PBE-GGA, Materials Project).

polymorph energy (0 for the lowest one): 0.010 eV per atom
DFT total energy: -40.83 eV per cell
E_form: 0.1318 eV/atom

Cell lengths 5.0353, 6.4518, 10.9503 Å; angles 90.00, 90.00, 90.00 degrees
Last column: nearest neighbours and their distance in Å.
Atoms (fractional coordinates):
Li 0.5000 0.0000 0.8358  10 Mg 3.11-3.23, 2 Hf 3.23
Li 0.5000 0.5000 0.3358  10 Mg 3.11-3.23, 2 Hf 3.23
Hf 0.5000 0.0000 0.3350  10 Mg 3.10-3.19, 2 Li 3.23
Hf 0.5000 0.5000 0.8350  10 Mg 3.10-3.19, 2 Li 3.23
Mg 0.5000 0.2554 0.5816  8 Mg 3.11-3.30, 2 Li 3.12-3.23, 2 Hf 3.16-3.19
Mg 0.5000 0.7446 0.5816  8 Mg 3.11-3.30, 2 Li 3.12-3.23, 2 Hf 3.16-3.19
Mg 0.0000 0.2492 0.4145  2 Hf 3.11, 8 Mg 3.11-3.24, 2 Li 3.11
Mg 0.0000 0.7508 0.4145  2 Hf 3.11, 8 Mg 3.11-3.24, 2 Li 3.11
Mg 0.0000 0.0000 0.6679  2 Li 3.12, 10 Mg 3.15-3.23
Mg 0.0000 0.0000 0.1692  2 Hf 3.10, 10 Mg 3.12-3.23
Mg 0.5000 0.7554 0.0816  8 Mg 3.11-3.30, 2 Li 3.12-3.23, 2 Hf 3.16-3.19
Mg 0.5000 0.2446 0.0816  8 Mg 3.11-3.30, 2 Li 3.12-3.23, 2 Hf 3.16-3.19
Mg 0.0000 0.7492 0.9145  2 Hf 3.11, 8 Mg 3.11-3.24, 2 Li 3.11
Mg 0.0000 0.2508 0.9145  2 Hf 3.11, 8 Mg 3.11-3.24, 2 Li 3.11
Mg 0.0000 0.5000 0.1679  2 Li 3.12, 10 Mg 3.15-3.23
Mg 0.0000 0.5000 0.6692  2 Hf 3.10, 10 Mg 3.12-3.23